Here is a relaxed structure of Li2Cr3WO8 from the Materials Project database. Energies are from PBE+U.

POSCAR file:
```
Li2Cr3WO8
1.0
5.963 0.000 0.000
-2.982 5.164 0.000
0.000 0.000 9.637
Li Cr W O
4 6 2 16
direct
0.000 0.000 0.000
0.000 0.000 0.500
0.333 0.667 0.410
0.667 0.333 0.910
0.169 0.339 0.720
0.169 0.831 0.720
0.339 0.169 0.220
0.661 0.831 0.720
0.831 0.169 0.220
0.831 0.661 0.220
0.333 0.667 0.995
0.667 0.333 0.495
0.000 0.000 0.315
0.000 0.000 0.815
0.039 0.519 0.851
0.166 0.332 0.104
0.166 0.834 0.104
0.332 0.166 0.604
0.333 0.667 0.615
0.481 0.519 0.851
0.481 0.961 0.851
0.519 0.039 0.351
0.519 0.481 0.351
0.667 0.333 0.115
0.668 0.834 0.104
0.834 0.166 0.604
0.834 0.668 0.604
0.961 0.481 0.351
```

Properties
The energy above the most stable polymorph in this dataset comes out at 0 meV/atom.